# 1
Compound: SrTcN3
Source: Materials Project
Functional: r2SCAN
Structure: relaxed

Computed properties:
energy of formation	-0.5436	eV per atom
E	-14.2430	eV per atom

Cell: 6.4650 6.4650 6.6708 Å, 104.35 104.35 33.78°
Closest atoms and distances in Å follow each position.
Fractional coordinates of all 10 atoms:
Sr (0.1145, 0.1145, 0.3294)  6 N 2.56-2.76
Sr (0.8855, 0.8855, 0.6706)  6 N 2.56-2.76
Tc (0.3427, 0.3427, 0.1404)  1 N 1.73
Tc (0.6573, 0.6573, 0.8596)  1 N 1.73
N (0.1813, 0.1813, 0.9866)  3 Tc 1.99-2.05
N (0.3442, 0.3442, 0.4009)  1 Tc 1.73
N (0.4936, 0.4936, 0.0923)  1 N 1.28
N (0.5064, 0.5064, 0.9077)  1 N 1.28
N (0.6558, 0.6558, 0.5991)  1 Tc 1.73
N (0.8187, 0.8187, 0.0134)  3 Tc 1.99-2.05

=====

# 2
Compound: Nd5Mg
Source: Materials Project
Functional: r2SCAN
Structure: relaxed

Computed properties:
energy of formation	-0.0128	eV per atom
E	-25.2226	eV per atom

Cell: 6.7768 6.7768 6.7768 Å, 55.75 55.75 55.75°
Closest atoms and distances in Å follow each position.
Fractional coordinates of all 6 atoms:
Nd (0.0000, 0.6211, 0.3789)  8 Nd 3.44-3.64, 2 Mg 3.47
Nd (0.1550, 0.1550, 0.1550)  9 Nd 3.58-3.68, 3 Mg 3.66
Nd (0.3789, 0.0000, 0.6211)  8 Nd 3.44-3.64, 2 Mg 3.47
Nd (0.6211, 0.3789, 0.0000)  8 Nd 3.44-3.64, 2 Mg 3.47
Nd (0.8450, 0.8450, 0.8450)  9 Nd 3.58-3.68, 3 Mg 3.66
Mg (0.5000, 0.5000, 0.5000)  12 Nd 3.47-3.66

=====

# 3
Compound: LiFeF4
Source: Materials Project
Functional: r2SCAN
Structure: relaxed

Computed properties:
energy above the lowest structure with this stoichiometry	11.7	meV/atom
energy of formation	-2.7780	eV per atom
E	-7.6620	eV per atom

Cell: 5.4751 4.6596 5.5572 Å, 90.00 114.53 90.00°
Closest atoms and distances in Å follow each position.
Fractional coordinates of all 12 atoms:
Li (0.0000, 0.0000, 0.0000)  6 F 2.01-2.04
Li (0.0000, 0.5000, 0.5000)  6 F 2.01-2.04
Fe (0.5000, 0.0000, 0.5000)  6 F 1.88-1.98
Fe (0.5000, 0.5000, 0.0000)  6 F 1.88-1.98
F (0.1685, 0.1920, 0.3625)  1 Fe 1.88, 2 Li 2.02-2.04
F (0.1685, 0.3080, 0.8625)  1 Fe 1.88, 2 Li 2.02-2.04
F (0.3531, 0.7061, 0.6585)  2 Fe 1.97-1.98, 1 Li 2.01
F (0.3531, 0.7939, 0.1585)  2 Fe 1.97-1.98, 1 Li 2.01
F (0.6469, 0.2061, 0.8415)  2 Fe 1.97-1.98, 1 Li 2.01
F (0.6469, 0.2939, 0.3415)  2 Fe 1.97-1.98, 1 Li 2.01
F (0.8315, 0.6920, 0.1375)  1 Fe 1.88, 2 Li 2.02-2.04
F (0.8315, 0.8080, 0.6375)  1 Fe 1.88, 2 Li 2.02-2.04

=====

# 4
Compound: La5Ga3
Source: Materials Project
Functional: r2SCAN
Structure: relaxed

Computed properties:
energy of formation	-0.5626	eV per atom
E	-23.4441	eV per atom

Cell: 8.0542 8.0542 14.8152 Å, 90.00 90.00 90.00°
Closest atoms and distances in Å follow each position.
Fractional coordinates of all 32 atoms:
La (0.0635, 0.5889, 0.1033)  5 Ga 3.17-3.45, 2 La 3.52-3.53
La (0.0635, 0.9111, 0.6033)  5 Ga 3.17-3.45, 2 La 3.52-3.53
La (0.0889, 0.5635, 0.3967)  5 Ga 3.17-3.45, 2 La 3.52-3.53
La (0.0889, 0.9365, 0.8967)  5 Ga 3.17-3.45, 2 La 3.52-3.53
La (0.2500, 0.2500, 0.2135)  5 Ga 3.11-3.28
La (0.2500, 0.2500, 0.7135)  5 Ga 3.11-3.28
La (0.4111, 0.5635, 0.8967)  5 Ga 3.17-3.45, 2 La 3.52-3.53
La (0.4111, 0.9365, 0.3967)  5 Ga 3.17-3.45, 2 La 3.52-3.53
La (0.4365, 0.5889, 0.6033)  5 Ga 3.17-3.45, 2 La 3.52-3.53
La (0.4365, 0.9111, 0.1033)  5 Ga 3.17-3.45, 2 La 3.52-3.53
La (0.5635, 0.0889, 0.8967)  5 Ga 3.17-3.45, 2 La 3.52-3.53
La (0.5635, 0.4111, 0.3967)  5 Ga 3.17-3.45, 2 La 3.52-3.53
La (0.5889, 0.0635, 0.6033)  5 Ga 3.17-3.45, 2 La 3.52-3.53
La (0.5889, 0.4365, 0.1033)  5 Ga 3.17-3.45, 2 La 3.52-3.53
La (0.7500, 0.7500, 0.2865)  5 Ga 3.11-3.28
La (0.7500, 0.7500, 0.7865)  5 Ga 3.11-3.28
La (0.9111, 0.0635, 0.1033)  5 Ga 3.17-3.45, 2 La 3.52-3.53
La (0.9111, 0.4365, 0.6033)  5 Ga 3.17-3.45, 2 La 3.52-3.53
La (0.9365, 0.0889, 0.3967)  5 Ga 3.17-3.45, 2 La 3.52-3.53
La (0.9365, 0.4111, 0.8967)  5 Ga 3.17-3.45, 2 La 3.52-3.53
Ga (0.1339, 0.6339, 0.7500)  1 Ga 2.65
Ga (0.1339, 0.8661, 0.2500)  1 Ga 2.65
Ga (0.2500, 0.2500, 0.0038)  9 La 3.11-3.45
Ga (0.2500, 0.2500, 0.5038)  9 La 3.11-3.45
Ga (0.3661, 0.6339, 0.2500)  1 Ga 2.65
Ga (0.3661, 0.8661, 0.7500)  1 Ga 2.65
Ga (0.6339, 0.1339, 0.2500)  1 Ga 2.65
Ga (0.6339, 0.3661, 0.7500)  1 Ga 2.65
Ga (0.7500, 0.7500, 0.4962)  9 La 3.11-3.45
Ga (0.7500, 0.7500, 0.9962)  9 La 3.11-3.45
Ga (0.8661, 0.1339, 0.7500)  1 Ga 2.65
Ga (0.8661, 0.3661, 0.2500)  1 Ga 2.65

=====

# 5
Compound: KPrO2
Source: Materials Project
Functional: r2SCAN
Structure: relaxed

Computed properties:
energy of formation	-2.8243	eV per atom
E	-14.6661	eV per atom

Cell: 6.5840 6.5840 6.5840 Å, 32.27 32.27 32.27°
Closest atoms and distances in Å follow each position.
Fractional coordinates of all 4 atoms:
K (0.0000, 0.0000, 0.0000)  6 O 2.84
Pr (0.5000, 0.5000, 0.5000)  6 O 2.44
O (0.2315, 0.2315, 0.2315)  3 Pr 2.44
O (0.7685, 0.7685, 0.7685)  3 Pr 2.44

=====

# 6
Compound: ErBiPt
Source: Materials Project
Functional: r2SCAN
Structure: relaxed

Computed properties:
energy of formation	-1.1667	eV per atom
E	-49.1385	eV per atom

Cell: 4.7063 4.7063 4.7063 Å, 60.00 60.00 60.00°
Closest atoms and distances in Å follow each position.
Fractional coordinates of all 3 atoms:
Er (0.0000, 0.0000, 0.0000)  4 Pt 2.88
Bi (0.5000, 0.5000, 0.5000)  4 Pt 2.88
Pt (0.7500, 0.7500, 0.7500)  4 Bi 2.88, 4 Er 2.88